SrEuTe2 after structural relaxation, computed with PBE.

The structure in POSCAR format:
```
SrEuTe2
1.0
2.360 1.362 7.705
-2.360 1.362 7.705
0.000 -2.725 7.705
Sr Eu Te
1 1 2
Cartesian
0.000 0.000 0.000
0.000 0.000 11.557
0.000 0.000 5.761
0.000 0.000 17.354
```

## Properties
* energy: -25.08 eV for the cell shown
* ΔE_f: -743 kJ/mol of formula units
* relative energy among the computed polymorphs: 0 meV per atom